Tm4MgRh | meta-GGA r2SCAN | relaxed

- calculated volume (Å³ per cell) = 2456.3
- crystal system = cubic
- VASP energy (eV/atom) = -28.5771
- mass density (g/cm³) = 8.7

```
data_Tm4MgRh
_chemical_formula_sum 'Tm64 Mg16 Rh16'
_symmetry_space_group_name_H-M 'F -4 3 m'
_symmetry_Int_Tables_number 216
_symmetry_space_group_name_Hall 'F -4 2 3'
_cell_length_a 13.4926
_cell_length_b 13.4926
_cell_length_c 13.4926
_cell_angle_alpha 90.00
_cell_angle_beta 90.00
_cell_angle_gamma 90.00
loop_
_atom_site_label
_atom_site_type_symbol
_atom_site_fract_x
_atom_site_fract_y
_atom_site_fract_z
Tm1 Tm 0.0000 0.0000 0.1856
Tm2 Tm 0.0625 0.2500 0.7500
Tm3 Tm 0.0957 0.0957 0.4043
Mg1 Mg 0.1710 0.1710 0.1710
Rh1 Rh 0.1087 0.1087 0.6087
```